# 1
DFT (PBE-GGA) results for crystalline Li3BiO4 at its relaxed geometry.

Structure (extended XYZ):
```
32
Lattice="6.123 2.412 -3.903 2.133 -2.121 7.036 -3.144 -5.964 -3.618" Properties=species:S:1:pos:R:3 pbc="T T T"
Li -1.032 -3.698 0.106
Li 3.784 0.655 -0.042
Li 4.184 -2.044 -1.335
O 0.011 -4.610 3.452
Li 0.095 -2.418 -2.982
Bi 4.404 1.735 -2.807
O 1.000 -3.403 0.732
Li 5.179 -1.206 1.389
Li 2.294 -0.430 -3.050
Li 2.837 -0.421 2.554
Li 1.568 -4.409 -1.255
Bi 1.436 -1.593 -0.136
Li 0.727 -5.230 1.526
O 0.491 -0.488 1.619
O 3.007 -1.207 -4.762
O 5.677 0.738 0.629
Bi -2.261 -4.289 -2.602
O 4.700 -0.372 3.308
O -0.318 -4.431 -1.952
O -1.282 -5.551 0.843
O 4.372 -0.193 -2.096
Bi 1.534 -1.525 5.060
O 2.353 -2.486 3.439
O 3.309 -1.316 0.661
O 1.409 0.555 -0.898
Li 2.644 -3.053 -3.728
O 0.737 -3.258 -4.692
O 1.994 -2.274 -1.993
Li 3.058 -3.324 1.753
O 3.936 -4.368 -0.374
Li 0.221 -2.785 2.635
O -0.723 -1.372 -0.832
```

- space-group type = I-43m (217)
- density (g/cm3) = 5.659
- formation energy from the elements (eV/atom) = -1.8565

***

# 2
DFT (PBE-GGA) results for crystalline Li9Bi5O13 at its relaxed geometry.

Structure (extended XYZ):
```
108
Lattice="5.287 0.000 0.000 0.000 13.634 0.000 0.000 5.948 21.319" Properties=species:S:1:pos:R:3 pbc="T T T"
O 1.572 12.020 7.061
Bi 4.220 12.754 13.814
Li 4.365 9.428 13.659
O 1.060 9.456 13.490
O 4.276 3.788 6.908
Li 0.896 3.412 6.445
O 1.769 0.766 0.796
O 3.518 18.816 20.523
O 1.071 14.994 17.720
Li 1.721 13.129 18.319
Bi 1.288 8.779 11.208
O 3.681 12.398 11.680
O 1.569 11.100 0.250
O 1.539 9.799 3.060
Bi 1.346 18.781 20.448
Li 1.693 15.527 19.626
O 1.584 6.482 2.831
Li 4.388 13.828 10.516
Li 1.183 14.545 12.885
O 3.703 13.100 18.487
O 1.516 5.358 5.749
Bi 3.920 15.432 7.572
Bi 3.932 13.777 20.770
O 1.568 3.808 1.889
Li 1.714 14.241 15.386
Bi 4.011 18.406 18.231
Li 4.104 5.037 8.434
O 4.218 13.874 5.932
Bi 3.989 3.775 11.530
O 4.212 5.508 10.410
Bi 1.276 1.176 3.087
O 1.128 8.332 16.408
Li 3.566 6.453 3.000
Li 3.636 7.204 9.611
O 1.075 14.074 10.909
Li 4.357 8.315 16.592
O 0.800 15.264 7.624
Li 4.390 5.817 14.969
Bi 3.712 9.780 3.155
O 3.719 8.482 21.069
O 1.583 8.658 6.733
O 1.075 6.782 12.548
O 1.104 12.773 13.720
Bi 3.999 10.803 10.110
Li 0.898 8.065 3.795
O 4.183 6.809 7.599
Li 3.541 2.842 4.310
O 4.228 10.126 7.828
Li 3.542 8.543 6.864
O 1.012 15.794 14.411
Bi 1.027 4.672 3.793
Bi 1.576 9.802 18.164
Li 0.900 5.754 10.802
O 1.790 13.916 20.832
O 4.434 8.640 11.146
O 3.705 10.924 14.586
Bi 1.617 7.646 14.452
O 1.061 11.632 17.392
Li 4.337 7.029 12.352
Bi 3.671 11.936 6.866
Bi 1.068 6.828 7.505
Bi 1.368 4.150 13.747
Li 1.746 16.740 17.009
O 1.844 18.238 18.283
Li 1.746 11.039 14.454
O 1.606 7.184 9.639
Li 1.651 12.378 11.708
Li 3.543 16.802 21.176
Bi 4.260 14.910 17.525
O 3.772 14.224 15.569
Li 0.923 10.154 7.659
O 1.069 5.708 15.386
O 4.226 7.950 3.926
O 3.443 1.344 3.035
O 3.655 6.762 17.567
O 3.713 16.848 16.592
O 4.212 12.800 8.770
O 1.632 12.820 3.752
Li 0.930 11.267 4.727
O 1.574 2.734 4.727
Li 0.950 12.553 8.967
O 0.875 3.740 11.455
O 3.748 9.783 18.258
Li 4.295 10.178 20.270
O 4.488 4.318 13.694
O 4.250 9.424 1.021
Li 0.993 9.404 1.049
Bi 1.298 15.807 9.789
Li 3.594 4.055 1.693
O 1.038 10.158 20.298
O 4.160 11.250 4.910
O 0.854 10.942 10.172
Li 0.897 13.765 6.350
O 4.413 15.842 9.864
Li 3.827 8.011 19.093
Li 1.748 6.387 17.105
Li 1.461 11.571 2.225
Li 3.540 13.195 4.214
Li 4.389 11.517 17.524
O 3.497 5.666 0.487
Li 1.744 2.780 0.143
Li 3.574 5.341 5.932
O 3.715 7.562 14.257
O 4.216 4.588 3.598
Bi 1.355 5.805 0.549
O 3.719 15.774 19.429
Li 4.392 16.169 14.873
Bi 3.942 0.801 0.870
```

- space-group type = P2_1/c (14)
- density (g/cm3) = 5.685
- formation energy from the elements (eV/atom) = -1.8082

***

# 3
DFT (PBE-GGA) results for crystalline Li4Bi2O5 at its relaxed geometry.

Structure (extended XYZ):
```
22
Lattice="-1.437 -1.766 5.051 -1.494 7.533 -0.419 -5.980 -1.368 -5.105" Properties=species:S:1:pos:R:3 pbc="T T T"
O -5.499 3.134 -1.103
Li -5.592 6.317 -3.075
Bi -5.551 1.433 -2.417
Bi -7.504 4.250 -1.553
O -5.050 -1.476 -0.920
O -3.565 0.827 -2.595
O -5.680 2.464 -4.250
Li -6.159 2.447 0.690
Li -4.500 4.889 -1.094
Li -2.752 1.952 -1.162
Li -7.672 -0.448 -0.679
O -6.608 5.381 -4.608
Bi -3.360 2.966 1.944
O -2.303 -0.982 4.135
Li -3.320 -1.919 2.603
O -3.861 5.875 0.448
O -3.231 1.935 3.778
Li -1.239 4.847 0.207
Bi -1.407 0.149 1.081
O -3.412 1.265 0.630
O -5.346 3.572 2.122
Li -4.411 -0.490 0.622
```

- space-group type = P-1 (2)
- density (g/cm3) = 5.762
- formation energy from the elements (eV/atom) = -1.8859
- excess energy over the best structure of this formula in the dataset (meV per atom) = 0

***

# 4
DFT (PBE-GGA) results for crystalline Li5BiO4 at its relaxed geometry.

Structure (extended XYZ):
```
80
Lattice="13.656 0.000 0.000 0.000 13.656 0.000 0.000 0.000 4.878" Properties=species:S:1:pos:R:3 pbc="T T T"
Li 11.684 5.323 0.354
Li 6.828 6.828 2.439
Li 11.907 11.907 2.439
Bi 0.000 3.106 0.249
O 8.725 10.432 1.065
O 3.224 4.931 3.813
O 5.234 6.828 1.051
Li 10.375 3.282 0.000
O 1.630 6.828 1.665
Li 5.323 1.973 4.524
Li 10.110 3.546 2.439
O 6.828 8.423 3.827
O 4.931 3.224 1.065
O 6.828 5.234 3.827
Bi 9.934 6.828 2.688
Bi 10.551 0.000 4.629
Li 1.506 4.855 2.793
O 11.759 3.604 1.374
O 5.199 0.000 0.774
Li 0.000 6.828 0.459
O 12.062 0.000 1.388
Li 8.577 5.079 0.000
Li 0.000 0.000 2.439
Li 0.000 0.000 0.000
Li 5.323 11.684 4.524
O 4.931 10.432 1.065
O 8.458 0.000 0.774
O 6.828 12.027 3.213
Li 6.828 0.000 1.980
Li 8.334 11.684 4.524
O 3.604 1.897 3.504
Li 0.000 6.828 2.898
O 8.423 6.828 1.051
Li 5.079 5.079 0.000
Li 3.282 3.282 0.000
Li 6.828 6.828 0.000
O 10.052 1.897 3.504
O 1.897 10.052 1.374
Li 8.577 8.577 0.000
Bi 3.106 0.000 4.629
Li 4.855 12.151 2.085
O 6.828 1.630 3.213
O 3.604 11.759 3.504
Li 8.801 12.151 2.085
Li 6.828 0.000 4.419
Li 8.334 1.973 4.524
Li 11.684 8.334 0.354
O 1.594 0.000 1.388
O 11.759 10.052 1.374
Li 12.151 8.801 2.793
Bi 3.722 6.828 2.688
Li 1.973 5.323 0.354
Li 4.855 1.506 2.085
Li 12.151 4.855 2.793
Bi 6.828 3.722 2.190
Li 3.546 10.110 2.439
Li 1.749 11.907 2.439
O 10.432 8.725 3.813
O 0.000 8.458 4.104
Li 1.973 8.334 0.354
Li 5.079 8.577 0.000
Bi 0.000 10.551 0.249
Li 8.801 1.506 2.085
Bi 6.828 9.934 2.190
Li 1.506 8.801 2.793
Li 11.907 1.749 2.439
O 8.725 3.224 1.065
Li 3.282 10.375 0.000
O 0.000 5.199 4.104
O 12.027 6.828 1.665
Li 3.546 3.546 2.439
O 10.052 11.759 3.504
O 0.000 1.594 3.490
Li 10.110 10.110 2.439
Li 1.749 1.749 2.439
O 0.000 12.062 3.490
O 1.897 3.604 1.374
O 10.432 4.931 3.813
Li 10.375 10.375 0.000
O 3.224 8.725 3.813
```

- space-group type = P4_2/nmc (137)
- density (g/cm3) = 4.493
- formation energy from the elements (eV/atom) = -1.9501
- excess energy over the best structure of this formula in the dataset (meV per atom) = 0

***

# 5
DFT (PBE-GGA) results for crystalline Li2BiO2 at its relaxed geometry.

Structure (extended XYZ):
```
5
Lattice="0.502 4.827 3.539 -3.610 4.732 0.808 0.493 -5.979 -0.295" Properties=species:S:1:pos:R:3 pbc="T T T"
Li -2.249 6.917 3.146
Bi 0.000 0.000 0.000
O -2.053 0.897 0.948
O -0.562 2.683 3.104
Li -0.859 2.643 1.202
```

- space-group type = Immm (71)
- density (g/cm3) = 6.350
- formation energy from the elements (eV/atom) = -1.7533

***

# 6
DFT (PBE-GGA) results for crystalline Li8BiO3 at its relaxed geometry.

Structure (extended XYZ):
```
12
Lattice="5.306 0.000 0.000 0.000 5.306 0.000 0.000 0.000 5.306" Properties=species:S:1:pos:R:3 pbc="T T T"
Li 1.461 1.461 1.461
O 2.653 2.653 0.000
Li 3.845 1.461 1.461
Bi 0.000 0.000 0.000
Li 3.845 3.845 1.461
O 2.653 0.000 2.653
Li 3.845 3.845 3.845
Li 1.461 1.461 3.845
O 0.000 2.653 2.653
Li 3.845 1.461 3.845
Li 1.461 3.845 1.461
Li 1.461 3.845 3.845
```

- space-group type = Pm-3m (221)
- density (g/cm3) = 3.473
- formation energy from the elements (eV/atom) = -1.2166